No. 1
Na3La2Ta2SiP5O24 after structural relaxation. Source: the Materials Project database, functional GGA-PBE.

The structure in POSCAR format:
```
Na3La2Ta2SiP5O24
1.0
9.2805 0.0029 -0.0076
-4.6377 8.0053 -0.0002
-0.0197 -0.0118 23.1532
P O Na La Ta Si
15 72 9 6 6 3
Cartesian
3.4644 5.5528 5.7436 P
1.9171 2.8704 1.9341 P
7.3209 2.8506 13.4930 P
5.8326 0.2051 1.9687 P
1.5258 2.2617 17.3877 P
3.0845 4.9167 13.5074 P
1.5604 7.5742 9.6641 P
7.7060 2.2567 5.8168 P
2.7552 5.5266 21.2772 P
-1.1885 2.8512 21.2254 P
2.7374 0.2164 5.8285 P
-1.5829 7.5729 21.1656 P
-2.7115 5.5562 9.6309 P
5.8387 5.5598 17.4305 P
1.1496 2.8766 9.6300 P
2.6219 2.5570 9.7705 O
5.6946 1.0031 0.7112 O
-2.6473 7.9777 4.5453 O
5.5100 6.4344 2.0640 O
0.4090 6.8299 1.7811 O
3.5138 1.5820 5.7014 O
-1.1038 4.1648 13.3453 O
-1.9589 5.3034 17.6607 O
-1.0674 6.5876 22.3736 O
-1.1313 3.6895 5.9982 O
-0.3991 6.7508 13.3160 O
2.5716 7.9135 15.8873 O
4.0351 1.1006 14.8329 O
1.1494 6.6434 10.9319 O
-0.5670 3.7230 22.4479 O
3.1483 7.5738 9.4682 O
0.9209 3.6430 8.3648 O
6.6307 2.5232 21.4109 O
-0.3846 1.4884 21.0846 O
8.2446 1.7260 4.5207 O
1.1218 1.2936 18.6061 O
1.9904 5.2568 5.9339 O
3.6651 6.2536 4.4207 O
3.7185 4.3892 12.2570 O
3.1148 2.2590 17.3026 O
6.1154 2.2392 5.6926 O
0.9528 6.9874 8.4273 O
4.2276 4.1586 5.6573 O
1.9697 5.3685 20.0050 O
5.0465 4.2238 17.2620 O
6.2985 3.0151 14.7413 O
3.7511 1.0471 12.2122 O
5.7648 1.0077 9.8365 O
-1.6689 5.6479 10.8797 O
0.8659 1.7913 2.0818 O
5.2077 6.4141 18.6456 O
2.6988 2.6586 0.6692 O
1.4948 4.9022 13.3450 O
-3.5312 6.4049 16.1955 O
-3.1496 7.5759 21.1369 O
-3.5285 6.9193 9.4941 O
3.5141 4.0150 14.7569 O
7.6680 0.2373 18.5752 O
0.6954 7.0558 17.4719 O
1.1612 4.2781 1.8158 O
4.0811 6.4317 6.9485 O
5.5639 4.4485 9.8071 O
5.3820 4.3327 0.6673 O
3.5687 0.9718 21.3739 O
1.6559 0.3022 7.0338 O
2.6526 7.8143 2.1809 O
1.0076 1.6714 16.1062 O
5.2132 1.0304 3.2010 O
3.4536 6.3908 13.6644 O
3.5685 6.8983 21.1048 O
-1.0656 7.0418 19.8513 O
-1.5040 5.0032 1.6690 O
2.9539 2.9850 3.1667 O
3.7645 4.4002 21.3637 O
5.6690 1.6285 17.1486 O
6.5046 2.6041 12.2627 O
0.5529 3.7038 10.8690 O
1.0434 3.6939 17.4977 O
8.1630 1.2892 7.0228 O
-0.8977 7.1023 6.0106 O
-2.8395 7.8631 13.5221 O
0.3801 1.4837 9.4851 O
5.6993 3.9020 3.2447 O
8.2414 1.6617 13.7073 O
1.7809 5.6409 22.5354 O
-1.9147 5.3581 8.3818 O
-1.0093 3.6269 19.9553 O
1.6927 7.8889 13.5931 Na
-1.3978 7.8870 17.4313 Na
0.1467 0.0316 23.1284 Na
0.0759 5.1392 15.4422 Na
4.6067 2.6477 7.6675 Na
4.6565 2.8311 19.2792 Na
3.1509 5.5696 1.8814 Na
-4.3751 7.9943 11.5739 Na
-0.0905 5.3374 3.8532 Na
-4.6181 7.9688 14.9852 La
0.0704 5.2905 18.8601 La
0.0216 5.3384 7.1958 La
4.5797 2.6815 11.0148 La
0.0539 0.0798 3.4375 La
4.6462 2.6197 22.6378 La
-0.0057 -0.0010 8.1501 Ta
4.5579 7.9841 19.7189 Ta
4.6553 2.6558 15.8426 Ta
4.6747 2.6745 4.3060 Ta
-0.0320 5.3253 11.9967 Ta
-0.0755 5.3471 0.4163 Ta
6.1024 4.9518 1.9224 Si
3.3486 0.2014 13.4749 Si
6.4950 0.1512 17.2783 Si
```

Space-group type: P1
DFT formation energy: -3.001 eV/atom
Final energy: -849.99 eV per cell



No. 2
NaLaTa3SiP5O24 after structural relaxation. Source: the Materials Project database, functional GGA-PBE.

The structure in POSCAR format:
```
NaLaTa3SiP5O24
1.0
-8.2413 -3.1837 1.1964
4.0619 -0.9687 -7.8803
8.9189 -20.3154 6.9960
O Ta La P Si Na
72 9 3 15 3 3
Cartesian
8.6967 -19.1425 4.7791 O
5.8945 -12.5760 0.2758 O
6.2103 -19.7899 1.2513 O
6.6047 -9.2694 -3.8078 O
-5.8449 -4.6816 1.6758 O
-0.0600 -15.9676 2.5801 O
0.1180 -2.8257 -0.4689 O
3.2023 -8.9316 1.4106 O
-3.5102 -4.9556 0.6629 O
3.6004 -13.8511 -0.5030 O
5.6748 -13.5727 -2.2936 O
-5.0717 -3.0771 -0.0243 O
1.1975 -10.2487 0.5746 O
2.3225 -4.2818 -0.1060 O
-2.0545 -2.2656 -1.4971 O
3.7614 -16.7139 3.0764 O
0.7596 -18.9355 6.1208 O
1.8451 -12.2126 3.1154 O
-3.8365 -6.0284 -1.9819 O
7.2126 -22.0019 2.2627 O
-2.1183 -15.5894 3.9805 O
4.2280 -2.8942 -5.7263 O
-0.9543 -9.7300 -3.1277 O
3.2346 -12.0171 -2.6702 O
-1.2472 -13.7561 2.4988 O
1.5877 -17.0953 4.6662 O
2.9833 -6.2834 -1.7322 O
-1.5397 -7.4045 -4.1949 O
-4.5325 -9.4667 2.0710 O
1.1498 -13.6025 -0.0313 O
2.1396 -2.6737 -4.3646 O
1.1934 -6.9057 2.0503 O
-4.4285 -3.9595 -3.3205 O
2.3827 -21.7073 4.3780 O
8.2082 -16.5466 0.0827 O
5.6244 -14.9060 3.6059 O
4.4798 -20.2160 6.0853 O
0.8001 -7.6714 -2.9634 O
8.2898 -18.4953 2.3790 O
-1.1106 -10.5258 2.7208 O
9.4594 -20.7496 3.0588 O
5.6249 -10.7266 -1.9703 O
8.4458 -19.3186 -0.1742 O
-0.1896 -3.1880 -2.9341 O
-1.4618 -7.5603 -1.5653 O
-3.4090 -7.7557 0.2913 O
0.9153 -11.7154 -3.6469 O
9.2615 -21.7108 0.5531 O
2.4608 -20.0108 0.8910 O
9.4164 -15.0728 -1.5833 O
-1.3992 -4.7056 -1.2651 O
2.0786 -14.5475 3.9946 O
1.5866 -17.9980 2.0780 O
3.2122 -7.1253 -4.4866 O
2.4480 -15.3424 1.2154 O
1.9965 -15.6536 -1.2350 O
5.8771 -17.8388 -0.7382 O
10.7135 -20.2227 -0.7762 O
2.4831 -8.8301 -0.9783 O
5.1147 -20.9420 3.1470 O
2.4348 -9.7383 -3.5037 O
4.3103 -5.5455 -6.0761 O
3.5636 -10.9620 -0.0833 O
7.9292 -13.8057 -3.3989 O
5.2005 -22.0496 0.8172 O
0.0151 -4.0236 -5.5876 O
-1.4906 -11.6969 -0.1771 O
-1.0496 -6.5402 0.9234 O
3.5866 -17.6989 -1.8210 O
6.1061 -16.8987 1.8461 O
5.8764 -17.4084 4.4746 O
4.5987 -8.4703 -2.5826 O
4.6074 -12.2935 -1.2017 Ta
-6.8530 -6.2782 2.2575 Ta
2.6920 -7.9083 -2.7118 Ta
5.8071 -13.2643 4.5410 Ta
-2.4798 -6.2518 -0.5354 Ta
7.1562 -18.1096 0.7953 Ta
1.9353 -16.2440 2.9226 Ta
0.1820 -2.2181 -4.6750 Ta
-0.9608 -11.3798 -4.1750 Ta
0.1472 -12.1868 1.5156 La
4.5886 -22.3341 5.0097 La
7.5707 -17.3469 5.9567 La
-1.4299 -15.2475 2.6388 P
9.2485 -20.5920 -0.5798 P
2.3488 -13.0363 4.2721 P
2.6028 -9.7650 0.2453 P
-4.5962 -3.9210 1.1252 P
1.3116 -19.0359 0.9495 P
5.9000 -21.1995 1.8663 P
5.9154 -9.2468 -2.4118 P
2.4094 -11.2519 -3.7595 P
2.2706 -14.6047 -0.1491 P
0.9078 -17.4399 6.0233 P
-0.0901 -6.0522 2.0482 P
9.2731 -19.2038 3.3718 P
-4.6049 -5.4495 -3.2419 P
-0.9089 -3.2383 -1.5562 P
-4.7761 -8.5587 0.7300 Si
-0.7697 -8.1084 -2.9563 Si
5.3851 -16.5043 3.2645 Si
3.3738 -19.4195 4.0352 Na
12.9331 -21.1895 -0.9164 Na
-1.1480 -9.2584 0.5175 Na
```

Space-group type: P1
DFT formation energy: -3.092 eV/atom
Final energy: -854.45 eV per cell



No. 3
Na7La2Ti2Si3P3O24 after structural relaxation. Source: the Materials Project database, functional GGA-PBE.

The structure in POSCAR format:
```
Na7La2Ti2Si3P3O24
1.0
9.2997 -0.0020 0.0099
-4.6516 8.0743 -0.0006
0.0254 0.0134 22.5722
Ti O Na P Si La
6 72 21 9 9 6
Cartesian
-0.0153 0.1055 14.5178 Ti
-0.0568 5.4369 11.5348 Ti
0.0697 0.0698 3.3585 Ti
4.5447 8.0357 8.0742 Ti
4.7140 2.6495 11.0219 Ti
0.0169 5.3690 0.4387 Ti
5.3468 4.3121 16.7443 O
3.9962 1.0850 20.8458 O
3.4371 1.2831 5.7186 O
3.7670 4.0427 20.8035 O
2.4155 2.3681 0.5251 O
-1.7646 5.6095 16.6462 O
6.0885 4.2554 3.1376 O
0.6480 4.0350 1.6929 O
3.9752 0.5400 14.5047 O
-1.2074 6.8097 5.6441 O
1.8368 5.7308 5.6801 O
-2.1834 4.8785 8.0339 O
-0.7609 6.7497 12.7592 O
0.7643 1.5231 9.4181 O
2.6319 3.1317 3.1096 O
5.4135 1.3286 9.7596 O
2.8903 2.5678 16.6898 O
5.6146 1.3700 16.7304 O
0.5912 3.6618 16.6514 O
3.6179 6.7426 20.9851 O
5.5115 0.6979 3.1421 O
6.4323 2.7824 20.8797 O
6.3714 2.3594 5.7952 O
6.0709 0.9620 0.6815 O
2.0716 5.2580 19.3153 O
7.2952 0.1590 18.2440 O
6.3216 2.4647 12.0707 O
3.9774 4.2423 12.1829 O
0.6683 7.4673 8.0279 O
7.7434 0.0419 15.5688 O
-0.7315 6.8306 21.8550 O
5.4957 4.0416 9.8930 O
6.9043 3.2033 14.5228 O
1.7006 5.4081 12.7709 O
4.0364 4.4537 5.7532 O
-0.9562 7.2334 19.3716 O
-0.8969 3.9606 21.9432 O
0.7078 3.8394 10.4127 O
1.0975 6.7212 16.6172 O
2.9773 2.6966 9.7717 O
-0.8047 4.0385 12.6483 O
-3.7141 6.7760 9.3021 O
5.3320 4.7977 0.6384 O
1.6215 5.3059 21.9666 O
1.6313 0.0224 4.4840 O
0.6277 1.4481 2.1765 O
8.5066 1.3737 7.0654 O
5.4987 6.6008 15.6052 O
3.2311 4.5698 14.5430 O
-3.0432 8.0656 13.2367 O
0.9595 6.8035 10.5786 O
-3.8360 6.7874 2.2431 O
-1.5154 5.4915 1.5992 O
0.9362 6.7167 1.7077 O
-0.5744 1.7086 20.9357 O
3.0333 8.0600 9.3110 O
3.7117 1.3027 11.9976 O
3.0661 7.9404 2.1349 O
1.1357 1.7110 18.1717 O
8.4539 1.3598 4.4149 O
3.8625 6.6535 6.9543 O
5.6175 6.2908 18.1424 O
-1.1013 3.6883 19.4269 O
3.8115 6.5925 4.4093 O
0.8728 1.3844 15.6584 O
1.4197 3.5654 8.0271 O
-2.8336 7.8509 20.9477 O
8.4210 1.3171 13.2575 O
-0.5751 3.7129 5.6217 O
-1.6503 5.6008 10.4958 O
1.6987 0.0211 7.0239 O
3.9101 6.5821 13.1510 O
-4.5187 8.0265 0.1602 Na
0.0817 5.3003 14.8540 Na
7.5140 2.9471 16.8043 Na
5.8658 5.3524 20.8993 Na
2.9563 0.2614 9.4434 Na
-4.6038 8.0623 11.2816 Na
4.6648 2.8202 7.7113 Na
1.6435 7.8025 13.0965 Na
7.6225 2.5083 9.4500 Na
1.7006 3.0040 5.6283 Na
1.7806 2.4797 20.8218 Na
3.4950 0.0402 16.7255 Na
3.0654 5.5704 1.9045 Na
-1.3578 2.7495 1.9487 Na
-2.9559 5.6197 13.1616 Na
5.8474 0.0106 5.7415 Na
2.9959 5.1221 16.8114 Na
-2.8583 5.0136 5.6727 Na
6.3618 0.2806 20.7958 Na
-0.1073 5.4116 3.6702 Na
4.6761 2.7058 18.7924 Na
-1.3515 3.0314 20.7961 P
2.5547 0.0079 5.7323 P
1.3749 2.3463 16.7913 P
1.4818 2.9231 9.4397 P
-1.3081 7.7686 20.7779 P
6.0024 5.7031 16.7632 P
6.1949 0.0464 1.9176 P
3.3774 5.8567 5.6813 P
3.1838 5.1843 13.1304 P
8.0014 2.2484 5.7218 Si
3.2337 0.1668 13.1186 Si
1.6292 2.7200 1.8820 Si
6.5593 0.0477 16.7958 Si
1.3808 7.8912 9.4237 Si
-2.9048 5.3582 9.4139 Si
6.1782 5.3452 1.9151 Si
7.5863 2.7470 13.1321 Si
2.7958 5.3551 20.7686 Si
0.0719 5.4238 18.3503 La
4.6121 2.7256 22.5428 La
4.6698 2.6882 14.9630 La
4.6857 2.6950 4.1098 La
4.6200 8.0450 19.2488 La
-0.0061 5.3432 7.3791 La
```

Space-group type: P1
DFT formation energy: -3.005 eV/atom
Final energy: -878.75 eV per cell



Taking the records one at a time from the top gives volume values of 15.5, 15.2, 13.8 Å³/atom.
Taking the records one at a time from the top gives corrected total energy (MP2020 scheme) values of -899.4, -903.9, -928.2 eV per cell.